(1)
! Ni5As2 meta-GGA r2SCAN optimized geometry; values from VASP
! - Calculated formation energy: -143.4 kJ/mol of formula units
! - M_tot: 0.00 μB per formula unit
&SYSTEM
  ibrav = 0, nat = 42, ntyp = 2
/
ATOMIC_SPECIES
Ni 58.69 Ni.upf
As 74.92 As.upf
CELL_PARAMETERS angstrom
6.742 0.000 0.000
-3.371 5.839 0.000
0.000 0.000 12.453
ATOMIC_POSITIONS crystal
Ni 0.000 0.000 0.949
Ni 0.000 0.000 0.449
Ni 0.333 0.667 0.095
Ni 0.667 0.333 0.595
Ni 0.333 0.667 0.595
Ni 0.667 0.333 0.095
Ni 0.250 0.000 0.121
Ni 0.250 0.250 0.621
Ni 0.000 0.750 0.621
Ni 0.000 0.250 0.121
Ni 0.750 0.750 0.121
Ni 0.750 0.000 0.621
Ni 0.624 0.000 0.219
Ni 0.624 0.624 0.719
Ni 0.000 0.376 0.719
Ni 0.000 0.624 0.219
Ni 0.376 0.376 0.219
Ni 0.376 0.000 0.719
Ni 0.311 0.000 0.329
Ni 0.311 0.311 0.829
Ni 0.000 0.689 0.829
Ni 0.000 0.311 0.329
Ni 0.689 0.689 0.329
Ni 0.689 0.000 0.829
Ni 0.626 0.000 0.433
Ni 0.626 0.626 0.933
Ni 0.000 0.374 0.933
Ni 0.000 0.626 0.433
Ni 0.374 0.374 0.433
Ni 0.374 0.000 0.933
As 0.000 0.000 0.255
As 0.000 0.000 0.755
As 0.333 0.667 0.295
As 0.667 0.333 0.795
As 0.333 0.667 0.795
As 0.667 0.333 0.295
As 0.669 0.000 0.023
As 0.669 0.669 0.523
As 0.000 0.331 0.523
As 0.000 0.669 0.023
As 0.331 0.331 0.023
As 0.331 0.000 0.523

---

(2)
! Y2CdSe4 meta-GGA r2SCAN optimized geometry; values from VASP
! - Calculated formation energy: -1204.0 kJ/mol of formula units
! - M_tot: 0.00 μB per formula unit
&SYSTEM
  ibrav = 0, nat = 14, ntyp = 3
/
ATOMIC_SPECIES
Y 88.91 Y.upf
Cd 112.41 Cd.upf
Se 78.96 Se.upf
CELL_PARAMETERS angstrom
0.000 5.868 5.868
5.868 0.000 5.868
5.868 5.868 0.000
ATOMIC_POSITIONS crystal
Y 0.125 0.625 0.625
Y 0.625 0.125 0.625
Y 0.625 0.625 0.125
Y 0.625 0.625 0.625
Cd 0.250 0.250 0.250
Cd 0.000 0.000 0.000
Se 0.855 0.382 0.382
Se 0.382 0.855 0.382
Se 0.382 0.382 0.855
Se 0.382 0.382 0.382
Se 0.395 0.868 0.868
Se 0.868 0.395 0.868
Se 0.868 0.868 0.395
Se 0.868 0.868 0.868